VASP calculation (PBE) on a relaxed TbInCu4 crystal.

Summary:
* formation energy: -0.27 eV per atom
* total energy: -4.235 eV/atom
* largest piezoelectric modulus: 0.92 C/m²

POSCAR file:
```
TbInCu4
1.0
0.0000 3.6177 3.6177
3.6177 0.0000 3.6177
3.6177 3.6177 0.0000
Tb In Cu
1 1 4
direct
0.0000 0.0000 0.0000 Tb
0.2500 0.2500 0.2500 In
0.6247 0.6247 0.6247 Cu
0.6247 0.6247 0.1258 Cu
0.1258 0.6247 0.6247 Cu
0.6247 0.1258 0.6247 Cu
```